Entry 1:
DFT (PBE-GGA) results for Mg4Si7 after structural relaxation.

The structure in POSCAR format:
```
Mg4Si7
1.0
6.9346 0.0000 0.0000
0.0000 3.9409 0.0000
-0.3603 0.0000 14.2615
Mg Si
8 14
Cartesian
0.0000 0.0000 0.0000
-0.2627 1.9704 11.6184
0.3247 1.9704 8.1892
1.2441 1.9704 2.2776
2.3922 0.0000 4.4399
3.0619 1.9704 10.4580
3.4916 0.0000 1.1537
5.9918 0.0000 3.5188
0.4008 1.9704 5.1424
1.0452 0.0000 9.9841
1.8057 1.9704 13.7585
1.9162 0.0000 12.2635
2.4242 1.9704 6.5251
2.7692 0.0000 8.0787
3.8803 1.9704 3.1237
4.3343 1.9704 13.5053
4.5865 1.9704 5.4938
4.4633 0.0000 12.0312
4.5941 1.9704 8.2882
5.6041 1.9704 1.4728
5.4695 0.0000 9.7470
5.8784 0.0000 6.3853
```

Computed properties:
SG: No. 6
Volume in Å³/f.u.: 195
Total magnetization in μB per formula unit: 0.0
Energy relative to the lowest polymorph listed for this composition in kJ per mole of atoms: 3.1


Entry 2:
DFT (PBE-GGA) results for Mg3Si4 after structural relaxation.

The structure in POSCAR format:
```
Mg3Si4
1.0
6.0044 0.0000 0.0000
0.0000 4.1388 0.0000
-1.3001 0.0000 9.9671
Mg Si
6 8
Cartesian
0.0000 0.0000 0.0000
-0.6092 2.0694 4.9880
0.1200 2.0694 7.9368
1.8874 2.0694 3.5968
2.8960 2.0694 6.3703
4.6497 2.0694 2.0349
0.1065 0.0000 3.0846
1.1882 0.0000 5.6198
1.9681 2.0694 0.6460
2.4522 0.0000 1.8942
2.3393 0.0000 8.0658
2.7032 2.0694 9.3429
3.6007 0.0000 4.3370
4.6731 0.0000 6.8943
```

Computed properties:
SG: No. 6
Volume in Å³/f.u.: 124
Total magnetization in μB per formula unit: 0.0
Energy relative to the lowest polymorph listed for this composition in kJ per mole of atoms: 6.2


Number 1: formation energy from the elements 0.178 eV/atom. Number 2: formation energy from the elements 0.158 eV/atom.